! Th3Cl (PBE, optimized geometry); values from VASP
! ΔE_f	-89	meV per atom
! total moment	0.04	Bohr magnetons per cell
! total energy	-0.21896	hartree per atom
&SYSTEM
  ibrav = 0, nat = 8, ntyp = 2
/
ATOMIC_SPECIES
Th 232.04 Th.upf
Cl 35.45 Cl.upf
CELL_PARAMETERS angstrom
4.794 0.000 0.000
0.000 4.794 0.000
0.000 0.000 10.254
ATOMIC_POSITIONS crystal
Th 0.000 0.000 0.000
Th 0.000 0.500 0.250
Th 0.000 0.500 0.750
Th 0.500 0.000 0.250
Th 0.500 0.000 0.750
Th 0.500 0.500 0.500
Cl 0.000 0.000 0.500
Cl 0.500 0.500 0.000

! PdCl2 (PBE, optimized geometry); values from VASP
! ΔE_f	-860	meV per atom
! total energy	-0.12530	hartree per atom
&SYSTEM
  ibrav = 0, nat = 6, ntyp = 2
/
ATOMIC_SPECIES
Pd 106.42 Pd.upf
Cl 35.45 Cl.upf
CELL_PARAMETERS angstrom
4.423 0.000 0.000
0.000 11.579 0.000
0.000 0.000 3.411
ATOMIC_POSITIONS crystal
Pd 0.000 0.000 0.000
Pd 0.500 0.500 0.500
Cl 0.155 0.124 0.500
Cl 0.345 0.624 0.000
Cl 0.655 0.376 0.000
Cl 0.845 0.876 0.500

! Li4CuF7 (PBE, optimized geometry); values from VASP
! ΔE_f	-2616	meV per atom
! total moment	4.00	Bohr magnetons per cell
! E above lowest polymorph	46.5	meV/atom
! total energy	-0.16321	hartree per atom
&SYSTEM
  ibrav = 0, nat = 24, ntyp = 3
/
ATOMIC_SPECIES
Li 6.94 Li.upf
Cu 63.55 Cu.upf
F 19.00 F.upf
CELL_PARAMETERS angstrom
6.130 -4.470 0.000
6.130 4.470 0.000
-1.033 0.000 5.231
ATOMIC_POSITIONS crystal
Li 0.072 0.197 0.242
Li 0.197 0.072 0.742
Li 0.261 0.443 0.692
Li 0.443 0.261 0.192
Li 0.557 0.739 0.808
Li 0.739 0.557 0.308
Li 0.803 0.928 0.258
Li 0.928 0.803 0.758
Cu 0.262 0.738 0.250
Cu 0.738 0.262 0.750
F 0.053 0.947 0.250
F 0.126 0.282 0.576
F 0.159 0.654 0.919
F 0.282 0.126 0.076
F 0.314 0.501 0.367
F 0.346 0.841 0.581
F 0.499 0.686 0.133
F 0.501 0.314 0.867
F 0.654 0.159 0.419
F 0.686 0.499 0.633
F 0.718 0.874 0.924
F 0.841 0.346 0.081
F 0.874 0.718 0.424
F 0.947 0.053 0.750

! HoZrSb (PBE, optimized geometry); values from VASP
! ΔE_f	-853	meV per atom
! total energy	-0.24040	hartree per atom
&SYSTEM
  ibrav = 0, nat = 12, ntyp = 3
/
ATOMIC_SPECIES
Ho 164.93 Ho.upf
Zr 91.22 Zr.upf
Sb 121.76 Sb.upf
CELL_PARAMETERS angstrom
4.270 0.000 0.000
0.000 4.270 0.000
0.000 0.000 16.591
ATOMIC_POSITIONS crystal
Ho 0.000 0.000 0.176
Ho 0.000 0.000 0.824
Ho 0.500 0.500 0.324
Ho 0.500 0.500 0.676
Zr 0.000 0.500 0.000
Zr 0.000 0.500 0.500
Zr 0.500 0.000 0.000
Zr 0.500 0.000 0.500
Sb 0.000 0.000 0.366
Sb 0.000 0.000 0.634
Sb 0.500 0.500 0.134
Sb 0.500 0.500 0.866

! Ag32Te20As3 (PBE, optimized geometry); values from VASP
! ΔE_f	243	meV per atom
! total moment	1.65	Bohr magnetons per cell
! total energy	-0.10298	hartree per atom
&SYSTEM
  ibrav = 0, nat = 55, ntyp = 3
/
ATOMIC_SPECIES
Ag 107.87 Ag.upf
Te 127.60 Te.upf
As 74.92 As.upf
CELL_PARAMETERS angstrom
13.986 0.000 0.000
-6.993 12.112 0.000
0.000 0.000 8.583
ATOMIC_POSITIONS crystal
Ag 0.000 0.000 0.157
Ag 0.000 0.000 0.843
Ag 0.121 0.243 0.000
Ag 0.121 0.879 0.000
Ag 0.126 0.461 0.500
Ag 0.126 0.665 0.500
Ag 0.239 0.477 0.199
Ag 0.239 0.477 0.801
Ag 0.239 0.761 0.199
Ag 0.239 0.761 0.801
Ag 0.243 0.121 0.000
Ag 0.335 0.461 0.500
Ag 0.335 0.874 0.500
Ag 0.461 0.126 0.500
Ag 0.461 0.335 0.500
Ag 0.477 0.239 0.199
Ag 0.477 0.239 0.801
Ag 0.523 0.761 0.199
Ag 0.523 0.761 0.801
Ag 0.539 0.665 0.500
Ag 0.539 0.874 0.500
Ag 0.665 0.126 0.500
Ag 0.665 0.539 0.500
Ag 0.757 0.879 0.000
Ag 0.761 0.239 0.199
Ag 0.761 0.239 0.801
Ag 0.761 0.523 0.199
Ag 0.761 0.523 0.801
Ag 0.874 0.335 0.500
Ag 0.874 0.539 0.500
Ag 0.879 0.121 0.000
Ag 0.879 0.757 0.000
Te 0.000 0.196 0.500
Te 0.000 0.349 0.213
Te 0.000 0.349 0.787
Te 0.000 0.651 0.213
Te 0.000 0.651 0.787
Te 0.000 0.804 0.500
Te 0.196 0.000 0.500
Te 0.196 0.196 0.500
Te 0.333 0.667 0.000
Te 0.349 0.000 0.213
Te 0.349 0.000 0.787
Te 0.349 0.349 0.213
Te 0.349 0.349 0.787
Te 0.651 0.000 0.213
Te 0.651 0.000 0.787
Te 0.651 0.651 0.213
Te 0.651 0.651 0.787
Te 0.667 0.333 0.000
Te 0.804 0.000 0.500
Te 0.804 0.804 0.500
As 0.000 0.500 0.000
As 0.500 0.000 0.000
As 0.500 0.500 0.000

! DyNiB4 (PBE, optimized geometry); values from VASP
! ΔE_f	-580	meV per atom
! total moment	0.00	Bohr magnetons per cell
! total energy	-0.24858	hartree per atom
&SYSTEM
  ibrav = 0, nat = 24, ntyp = 3
/
ATOMIC_SPECIES
Dy 162.50 Dy.upf
Ni 58.69 Ni.upf
B 10.81 B.upf
CELL_PARAMETERS angstrom
-3.769 3.769 4.261
3.769 -3.769 4.261
3.769 3.769 -4.261
ATOMIC_POSITIONS crystal
Dy 0.203 0.203 0.000
Dy 0.250 0.750 0.500
Dy 0.750 0.250 0.500
Dy 0.797 0.797 0.000
Ni 0.272 0.500 0.772
Ni 0.500 0.272 0.772
Ni 0.500 0.728 0.228
Ni 0.728 0.500 0.228
B 0.111 0.275 0.387
B 0.111 0.725 0.836
B 0.114 0.114 0.534
B 0.114 0.580 0.000
B 0.275 0.111 0.387
B 0.275 0.889 0.164
B 0.420 0.420 0.534
B 0.420 0.886 0.000
B 0.580 0.114 0.000
B 0.580 0.580 0.466
B 0.725 0.111 0.836
B 0.725 0.889 0.613
B 0.886 0.420 0.000
B 0.886 0.886 0.466
B 0.889 0.275 0.164
B 0.889 0.725 0.613

! RbFeN (PBE, optimized geometry); values from VASP
! ΔE_f	-116	meV per atom
! total moment	1.87	Bohr magnetons per cell
! total energy	-0.21774	hartree per atom
&SYSTEM
  ibrav = 0, nat = 12, ntyp = 3
/
ATOMIC_SPECIES
Rb 85.47 Rb.upf
Fe 55.84 Fe.upf
N 14.01 N.upf
CELL_PARAMETERS angstrom
10.763 0.000 0.000
0.000 3.546 0.000
0.000 0.000 6.609
ATOMIC_POSITIONS crystal
Rb 0.167 0.250 0.072
Rb 0.333 0.750 0.572
Rb 0.667 0.250 0.428
Rb 0.833 0.750 0.928
Fe 0.039 0.250 0.595
Fe 0.461 0.750 0.095
Fe 0.539 0.250 0.905
Fe 0.961 0.750 0.405
N 0.056 0.750 0.641
N 0.444 0.250 0.141
N 0.556 0.750 0.859
N 0.944 0.250 0.359

! LiAsH2O4 (PBE, optimized geometry); values from VASP
! ΔE_f	-1720	meV per atom
! total moment	0.00	Bohr magnetons per cell
! piezoelectric modulus e_max	0.58	C/m²
! total energy	-0.20283	hartree per atom
&SYSTEM
  ibrav = 0, nat = 32, ntyp = 4
/
ATOMIC_SPECIES
Li 6.94 Li.upf
As 74.92 As.upf
H 1.01 H.upf
O 16.00 O.upf
CELL_PARAMETERS angstrom
6.590 0.000 0.000
0.000 7.846 0.000
0.000 0.000 7.363
ATOMIC_POSITIONS crystal
Li 0.019 0.212 0.000
Li 0.481 0.712 0.500
Li 0.519 0.288 0.000
Li 0.981 0.788 0.500
As 0.197 0.581 0.827
As 0.303 0.081 0.327
As 0.697 0.919 0.827
As 0.803 0.419 0.327
H 0.010 0.871 0.944
H 0.019 0.365 0.671
H 0.481 0.865 0.171
H 0.490 0.371 0.444
H 0.510 0.629 0.944
H 0.519 0.135 0.671
H 0.981 0.635 0.171
H 0.990 0.129 0.444
O 0.063 0.016 0.406
O 0.074 0.691 0.992
O 0.081 0.380 0.800
O 0.218 0.688 0.630
O 0.282 0.188 0.130
O 0.419 0.880 0.300
O 0.426 0.191 0.492
O 0.437 0.516 0.906
O 0.563 0.484 0.406
O 0.574 0.809 0.992
O 0.581 0.120 0.800
O 0.718 0.812 0.630
O 0.782 0.312 0.130
O 0.919 0.620 0.300
O 0.926 0.309 0.492
O 0.937 0.984 0.906

Q: Among the records above, which one has the lowest total energy?
A: DyNiB4